(1)
Below is crystalline Na8Y3TaSi4P2O24 at its relaxed geometry, with properties calculated at the PBE-GGA level.

abc: 9.4034 9.4124 22.8396
angles: 90.12 90.01 119.96
Positions (direct):
Na 0.0000 0.0000 0.0000
Na 0.9999 0.6489 0.7567
Na 0.0060 0.2817 0.5108
Na 0.0095 0.6499 0.2540
Na 0.0413 0.3486 0.8355
Na 0.0510 0.9960 0.3374
Na 0.2970 0.6066 0.3338
Na 0.3008 0.9917 0.8398
Na 0.3211 0.9428 0.1689
Na 0.3288 0.3075 0.4233
Na 0.3332 0.6708 0.6775
Na 0.3390 0.3073 0.9182
Na 0.3657 0.6587 0.0075
Na 0.3717 0.0184 0.5107
Na 0.6362 0.6477 0.5153
Na 0.6455 0.2929 0.9972
Na 0.6626 0.3456 0.3370
Na 0.6641 0.9749 0.0863
Na 0.6686 0.9810 0.5956
Na 0.6703 0.6066 0.8356
Na 0.6949 0.3256 0.6772
Na 0.7087 0.6772 0.1685
Na 0.9865 0.3320 0.1722
Na 0.9882 0.9570 0.6775
Y 0.0041 0.6525 0.1064
Y 0.0048 0.6498 0.6087
Y 0.0066 0.6493 0.4024
Y 0.3366 0.3151 0.2731
Y 0.3374 0.3153 0.5799
Y 0.3381 0.3145 0.7722
Y 0.6712 0.9848 0.9416
Y 0.6717 0.9866 0.4405
Y 0.9992 0.6527 0.9076
Ta 0.3401 0.3152 0.0772
Ta 0.6693 0.9874 0.2365
Ta 0.6764 0.9885 0.7411
Si 0.0270 0.3111 0.6759
Si 0.0341 0.0207 0.1768
Si 0.3081 0.9612 0.0108
Si 0.3441 0.6186 0.1776
Si 0.3449 0.0109 0.6754
Si 0.3744 0.9813 0.3403
Si 0.6347 0.3108 0.1776
Si 0.6425 0.6289 0.6757
Si 0.6740 0.2832 0.8428
Si 0.6904 0.6411 0.0108
Si 0.9648 0.2793 0.3400
Si 0.9684 0.9823 0.8431
P 0.0079 0.9541 0.5064
P 0.0166 0.3494 0.0107
P 0.3058 0.6441 0.5064
P 0.3766 0.6919 0.8404
P 0.6747 0.6963 0.3380
P 0.6984 0.3494 0.5062
O 0.0042 0.8362 0.1693
O 0.0184 0.8655 0.4504
O 0.0455 0.4576 0.9559
O 0.1025 0.2700 0.6177
O 0.1383 0.0933 0.2361
O 0.1427 0.1522 0.1222
O 0.1451 0.3490 0.7322
O 0.1495 0.1465 0.8389
O 0.1501 0.3068 0.3376
O 0.1652 0.1266 0.5077
O 0.1780 0.3388 0.0184
O 0.1899 0.6488 0.1696
O 0.1915 0.8243 0.6701
O 0.1913 0.8793 0.9528
O 0.1963 0.8116 0.3357
O 0.2049 0.6333 0.4509
O 0.2087 0.6852 0.8389
O 0.2181 0.6590 0.5613
O 0.2269 0.8470 0.0678
O 0.3058 0.0933 0.7310
O 0.3131 0.5165 0.2371
O 0.3140 0.1423 0.0202
O 0.3176 0.4850 0.5078
O 0.3551 0.5185 0.8365
O 0.3574 0.1454 0.3383
O 0.3638 0.5084 0.1227
O 0.3849 0.1271 0.6172
O 0.4691 0.7691 0.8978
O 0.4716 0.9943 0.4003
O 0.4814 0.8027 0.7874
O 0.4817 0.7974 0.5066
O 0.4891 0.9704 0.2838
O 0.4965 0.9968 0.0074
O 0.5007 0.2878 0.1234
O 0.5064 0.4700 0.0202
O 0.5125 0.9951 0.6855
O 0.5148 0.3087 0.8385
O 0.5211 0.7981 0.1801
O 0.5248 0.5229 0.3351
O 0.5256 0.3339 0.5076
O 0.5271 0.5512 0.6171
O 0.5613 0.5086 0.7314
O 0.5665 0.3458 0.2371
O 0.6341 0.1316 0.1800
O 0.6544 0.8106 0.6858
O 0.6551 0.1861 0.9032
O 0.6583 0.7743 0.3949
O 0.6592 0.7967 0.0067
O 0.6753 0.1623 0.7876
O 0.6804 0.1752 0.5073
O 0.6829 0.8078 0.2844
O 0.7712 0.6022 0.9534
O 0.7866 0.4488 0.4505
O 0.7997 0.4394 0.5611
O 0.8018 0.6691 0.0683
O 0.8206 0.4574 0.1676
O 0.8301 0.6642 0.6700
O 0.8371 0.6911 0.3367
O 0.8409 0.1623 0.2833
O 0.8431 0.1412 0.6855
O 0.8437 0.9753 0.7877
O 0.8492 0.4554 0.8385
O 0.8510 0.9708 0.5076
O 0.8529 0.0145 0.1795
O 0.8686 0.1734 0.0061
O 0.8851 0.1785 0.3998
O 0.8870 0.9950 0.9038
O 0.9629 0.4525 0.3361
O 0.9751 0.8119 0.8382
O 0.9889 0.4611 0.6701
O 0.9901 0.4288 0.0653
O 0.9980 0.8535 0.5611

Output
E_tot, eV per cell: -913.69
Formation energy from the elements, eV per formula unit: -127.9
V, Å³/f.u.: 584
MP2020-corrected energy, eV per atom: -7.64

(2)
Below is crystalline La6ZnSb15 at its relaxed geometry, with properties calculated at the PBE-GGA level.

abc: 12.7625 12.7625 4.3638
angles: 99.80 99.80 101.07
Positions (direct):
La 0.1341 0.8659 0.0000
La 0.1850 0.5343 0.8535
La 0.5343 0.1850 0.8535
La 0.5916 0.8610 0.7236
La 0.8610 0.5916 0.7236
La 0.8659 0.1341 0.0000
Zn 0.6049 0.6049 0.6126
Sb 0.0079 0.0079 0.5180
Sb 0.0631 0.6620 0.3589
Sb 0.1074 0.3195 0.2104
Sb 0.2621 0.2621 0.7506
Sb 0.3195 0.1074 0.2104
Sb 0.3480 0.9460 0.6378
Sb 0.3749 0.7801 0.0732
Sb 0.3922 0.6154 0.4932
Sb 0.4470 0.4470 0.9426
Sb 0.6154 0.3922 0.4932
Sb 0.6620 0.0631 0.3589
Sb 0.7120 0.7120 0.2113
Sb 0.7801 0.3749 0.0732
Sb 0.8703 0.8703 0.9076
Sb 0.9460 0.3480 0.6378

Output
E_tot, eV per cell: -108.91
Formation energy from the elements, eV per formula unit: -19.0
V, Å³/f.u.: 672
MP2020-corrected energy, eV per atom: -5.08